No. 1
VASP calculation (GGA+U) on a relaxed structure of BaVCu4P4O17.

Properties
- Space-group type: P42_12
- Formation energy: -2.28 eV per atom
- Total energy: -362.71 eV for the cell shown
- MP2020-corrected energy: -194.73 eV per formula unit
- V: 348.1 Å³/f.u.

Lattice parameters (Å, degrees): 9.735 9.735 7.347 90.00 90.00 90.00
Positions (direct):
Ba (0.000, 0.000, 0.000)
Ba (0.500, 0.500, 0.000)
V (0.000, 0.500, 0.044)
V (0.500, 0.000, 0.956)
Cu (0.014, 0.262, 0.596)
Cu (0.238, 0.514, 0.596)
Cu (0.262, 0.014, 0.404)
Cu (0.486, 0.762, 0.404)
Cu (0.514, 0.238, 0.404)
Cu (0.738, 0.986, 0.404)
Cu (0.762, 0.486, 0.596)
Cu (0.986, 0.738, 0.596)
P (0.191, 0.718, 0.266)
P (0.218, 0.309, 0.266)
P (0.282, 0.809, 0.734)
P (0.309, 0.218, 0.734)
P (0.691, 0.782, 0.734)
P (0.718, 0.191, 0.734)
P (0.782, 0.691, 0.266)
P (0.809, 0.282, 0.266)
O (0.000, 0.500, 0.821)
O (0.105, 0.659, 0.104)
O (0.126, 0.839, 0.737)
O (0.136, 0.653, 0.449)
O (0.153, 0.364, 0.449)
O (0.157, 0.179, 0.758)
O (0.159, 0.395, 0.104)
O (0.161, 0.874, 0.263)
O (0.179, 0.157, 0.242)
O (0.321, 0.657, 0.758)
O (0.339, 0.374, 0.737)
O (0.341, 0.895, 0.896)
O (0.343, 0.679, 0.242)
O (0.347, 0.864, 0.551)
O (0.364, 0.153, 0.551)
O (0.374, 0.339, 0.263)
O (0.395, 0.159, 0.896)
O (0.500, 0.000, 0.179)
O (0.605, 0.841, 0.896)
O (0.626, 0.661, 0.263)
O (0.636, 0.847, 0.551)
O (0.653, 0.136, 0.551)
O (0.657, 0.321, 0.242)
O (0.659, 0.105, 0.896)
O (0.661, 0.626, 0.737)
O (0.679, 0.343, 0.758)
O (0.821, 0.843, 0.242)
O (0.839, 0.126, 0.263)
O (0.841, 0.605, 0.104)
O (0.843, 0.821, 0.758)
O (0.847, 0.636, 0.449)
O (0.864, 0.347, 0.449)
O (0.874, 0.161, 0.737)
O (0.895, 0.341, 0.104)

---

No. 2
VASP calculation (GGA+U) on a relaxed structure of VPO5.

Properties
- Space-group type: P1
- Formation energy: -2.49 eV per atom
- Total energy: -103.10 eV for the cell shown
- MP2020-corrected energy: -56.69 eV per formula unit
- V: 90.8 Å³/f.u.

Lattice parameters (Å, degrees): 4.789 6.156 6.161 90.01 90.12 90.17
Positions (direct):
V (0.000, 0.000, 0.000)
V (0.448, 0.491, 0.500)
P (0.724, 0.496, 0.000)
P (0.724, 0.995, 0.500)
O (0.112, 0.495, 0.500)
O (0.335, 0.996, 0.001)
O (0.523, 0.189, 0.485)
O (0.532, 0.506, 0.200)
O (0.533, 0.474, 0.800)
O (0.542, 0.790, 0.517)
O (0.906, 0.701, 0.982)
O (0.915, 0.984, 0.300)
O (0.916, 0.019, 0.700)
O (0.925, 0.302, 0.018)

---

No. 3
VASP calculation (GGA+U) on a relaxed structure of Li9Mn2Co5O16.

Properties
- Space-group type: P1
- Formation energy: -1.79 eV per atom
- Total energy: -185.12 eV for the cell shown
- MP2020-corrected energy: -207.64 eV per formula unit
- V: 286.8 Å³/f.u.

Lattice parameters (Å, degrees): 4.998 5.974 10.083 103.47 99.88 93.49
Positions (direct):
Li (0.000, 0.000, 0.000)
Li (0.001, 0.504, 0.001)
Li (0.003, 0.999, 0.494)
Li (0.496, 0.258, 0.003)
Li (0.497, 0.245, 0.494)
Li (0.512, 0.737, 0.490)
Li (0.514, 0.738, 0.001)
Li (0.752, 0.619, 0.245)
Li (0.995, 0.497, 0.490)
Mn (0.252, 0.868, 0.745)
Mn (0.752, 0.125, 0.747)
Co (0.249, 0.866, 0.243)
Co (0.253, 0.375, 0.748)
Co (0.264, 0.381, 0.248)
Co (0.753, 0.619, 0.746)
Co (0.758, 0.123, 0.247)
O (0.111, 0.202, 0.363)
O (0.112, 0.689, 0.862)
O (0.117, 0.195, 0.862)
O (0.157, 0.664, 0.350)
O (0.364, 0.539, 0.127)
O (0.379, 0.082, 0.145)
O (0.388, 0.051, 0.628)
O (0.395, 0.546, 0.633)
O (0.600, 0.421, 0.360)
O (0.613, 0.449, 0.864)
O (0.616, 0.942, 0.864)
O (0.619, 0.945, 0.354)
O (0.888, 0.794, 0.626)
O (0.892, 0.296, 0.139)
O (0.894, 0.306, 0.631)
O (0.897, 0.825, 0.135)

---

no.,theoretical density (g/cm³)
1,4.0
2,3.0
3,4.2